A plane-wave DFT calculation with r2SCAN was carried out for a relaxed SnSe2O6 crystal.

POSCAR file:
```
SnSe2O6
1.0
8.2342 0.0000 0.0000
0.0000 8.2342 0.0000
0.0000 0.0000 8.2342
Se O Sn
8 24 4
direct
0.8329 0.1671 0.6671
0.3329 0.1671 0.8329
0.1671 0.6671 0.8329
0.8329 0.3329 0.1671
0.6671 0.8329 0.1671
0.3329 0.3329 0.3329
0.1671 0.8329 0.3329
0.6671 0.6671 0.6671
0.7446 0.4653 0.0333
0.4653 0.4667 0.2446
0.7446 0.0347 0.5333
0.9667 0.2446 0.0347
0.5347 0.5333 0.7554
0.9653 0.0333 0.7554
0.4667 0.2554 0.9653
0.5347 0.9667 0.2554
0.4653 0.0333 0.7446
0.9653 0.4667 0.2554
0.0347 0.5333 0.7446
0.0333 0.7554 0.9653
0.2554 0.5347 0.9667
0.0347 0.9667 0.2446
0.9667 0.2554 0.5347
0.7554 0.9653 0.0333
0.2446 0.4653 0.4667
0.2554 0.9653 0.4667
0.5333 0.7554 0.5347
0.4667 0.2446 0.4653
0.5333 0.7446 0.0347
0.7554 0.5347 0.5333
0.0333 0.7446 0.4653
0.2446 0.0347 0.9667
0.0000 0.0000 0.0000
0.5000 0.0000 0.5000
0.5000 0.5000 0.0000
0.0000 0.5000 0.5000
```

As for the final energy: -398.18 eV/cell. The calculated formation energy comes out at -10.34 eV per formula unit. As for the symmetry: No. 205.



A plane-wave DFT calculation with r2SCAN was carried out for a relaxed SnSe2O6 crystal.

POSCAR file:
```
SnSe2O6
1.0
-7.2311 1.0252 -4.5199
-0.4221 -4.7619 -0.4048
-3.6964 -2.6219 5.3189
Sn O Se
2 12 4
direct
0.5000 0.5000 0.5000
0.0000 0.5000 0.0000
0.3449 0.1522 0.5810
0.1551 0.1522 0.0810
0.0617 0.5864 0.2591
0.8426 0.2227 0.1972
0.5617 0.4136 0.2409
0.3426 0.7773 0.3028
0.1574 0.7773 0.8028
0.6574 0.2227 0.6972
0.4383 0.5864 0.7591
0.8449 0.8478 0.9190
0.6551 0.8478 0.4190
0.9383 0.4136 0.7409
0.1505 0.8658 0.3146
0.6505 0.1342 0.1854
0.3495 0.8658 0.8146
0.8495 0.1342 0.6854
```

As for the final energy: -199.06 eV/cell. The calculated formation energy comes out at -10.33 eV per formula unit. As for the symmetry: No. 14.



> What is the formula in the first record?

SnSe2O6